# 1
# MgNi2Bi2O6 | the Materials Project database | GGA+U | relaxed
# - ΔH_f (0 K): -1528 meV per atom
# - Density: 7.3 g/cm³
data_MgNi2Bi2O6
_cell_length_a 5.602
_cell_length_b 5.602
_cell_length_c 6.334
_cell_angle_alpha 116.20
_cell_angle_beta 90.09
_cell_angle_gamma 119.92
_symmetry_space_group_name_H-M 'P 1'
_symmetry_Int_Tables_number 1
_symmetry_space_group_name_Hall 'P 1'
loop_
_atom_site_label
_atom_site_fract_x
_atom_site_fract_y
_atom_site_fract_z
Mg1 0.000 0.000 0.000
Ni1 0.170 0.338 0.511
Ni2 0.603 0.204 0.808
Bi1 0.357 0.713 0.071
Bi2 0.816 0.631 0.449
O1 0.061 0.435 0.249
O2 0.251 0.188 0.766
O3 0.374 0.187 0.249
O4 0.576 0.826 0.767
O5 0.814 0.874 0.249
O6 0.940 0.512 0.765

# 2
# Mn3Fe2SnP6O24 | the Materials Project database | GGA+U | relaxed
# - ΔH_f (0 K): -2349 meV per atom
# - Density: 3.5 g/cm³
data_Mn3Fe2SnP6O24
_cell_length_a 8.6839
_cell_length_b 8.6839
_cell_length_c 20.9854
_cell_angle_alpha 90.00
_cell_angle_beta 90.00
_cell_angle_gamma 120.00
_symmetry_space_group_name_H-M 'R 3'
_symmetry_Int_Tables_number 146
_symmetry_space_group_name_Hall 'R 3'
loop_
_atom_site_label
_atom_site_fract_x
_atom_site_fract_y
_atom_site_fract_z
Mn1 0.0000 0.0000 0.0000
Mn2 0.0000 0.0000 0.2126
Mn3 0.0000 0.0000 0.4990
Fe1 0.0000 0.0000 0.3565
Fe2 0.0000 0.0000 0.8598
Sn1 0.0000 0.0000 0.7130
P1 0.0030 0.7110 0.1068
P2 0.0366 0.3690 0.2708
O1 0.0014 0.8064 0.1681
O2 0.0022 0.8027 0.0450
O3 0.0025 0.1994 0.5444
O4 0.0173 0.1798 0.2779
O5 0.0200 0.8334 0.7812
O6 0.1306 0.4602 0.3335
O7 0.1660 0.4847 0.5991
O8 0.1690 0.6873 0.0999

# 3
# Li9Mn2Co5O16 | the Materials Project database | GGA+U | relaxed
# - ΔH_f (0 K): -1800 meV per atom
# - Density: 4.2 g/cm³
data_Li9Mn2Co5O16
_cell_length_a 2.978
_cell_length_b 8.079
_cell_length_c 11.932
_cell_angle_alpha 90.76
_cell_angle_beta 93.93
_cell_angle_gamma 90.82
_symmetry_space_group_name_H-M 'P -1'
_symmetry_Int_Tables_number 2
_symmetry_space_group_name_Hall '-P 1'
loop_
_atom_site_label
_atom_site_fract_x
_atom_site_fract_y
_atom_site_fract_z
Li1 0.000 0.000 0.000
Li2 0.000 0.000 0.500
Li3 0.000 0.500 0.000
Li4 0.009 0.503 0.248
Li5 0.499 0.253 0.624
Li6 0.500 0.258 0.121
Mn1 0.001 0.999 0.250
Co1 0.000 0.500 0.500
Co2 0.488 0.252 0.378
Co3 0.493 0.262 0.881
O1 0.020 0.241 0.754
O2 0.022 0.750 0.008
O3 0.027 0.243 0.256
O4 0.037 0.739 0.507
O5 0.471 0.489 0.392
O6 0.478 0.011 0.371
O7 0.478 0.019 0.870
O8 0.495 0.523 0.128

# 4
# MgCr2CuO7 | the Materials Project database | GGA+U | relaxed
# - ΔH_f (0 K): -1823 meV per atom
# - Density: 3.6 g/cm³
data_MgCr2CuO7
_cell_length_a 9.903
_cell_length_b 8.412
_cell_length_c 10.262
_cell_angle_alpha 90.00
_cell_angle_beta 94.39
_cell_angle_gamma 90.00
_symmetry_space_group_name_H-M 'P 1 2/c 1'
_symmetry_Int_Tables_number 13
_symmetry_space_group_name_Hall '-P 2yc'
loop_
_atom_site_label
_atom_site_fract_x
_atom_site_fract_y
_atom_site_fract_z
Mg1 0.000 0.075 0.250
Mg2 0.348 0.433 0.928
Cr1 0.015 0.274 0.542
Cr2 0.333 0.223 0.213
Cr3 0.335 0.259 0.623
Cu1 0.000 0.445 0.250
Cu2 0.305 0.064 0.910
O1 0.005 0.099 0.614
O2 0.016 0.268 0.126
O3 0.081 0.411 0.880
O4 0.181 0.356 0.570
O5 0.228 0.081 0.279
O6 0.309 0.239 0.044
O7 0.313 0.394 0.291
O8 0.334 0.243 0.790
O9 0.357 0.085 0.545
O10 0.441 0.401 0.567
O11 0.500 0.149 0.250

# 5
# Na3Mn2P2C2O14 | the Materials Project database | GGA+U | relaxed
# - ΔH_f (0 K): -2241 meV per atom
# - Density: 2.6 g/cm³
data_Na3Mn2P2C2O14
_cell_length_a 8.979
_cell_length_b 6.586
_cell_length_c 10.383
_cell_angle_alpha 90.00
_cell_angle_beta 91.51
_cell_angle_gamma 90.00
_symmetry_space_group_name_H-M 'P 1 21 1'
_symmetry_Int_Tables_number 4
_symmetry_space_group_name_Hall 'P 2yb'
loop_
_atom_site_label
_atom_site_fract_x
_atom_site_fract_y
_atom_site_fract_z
Na1 0.240 0.000 0.381
Na2 0.241 0.018 0.878
Na3 0.242 0.537 0.873
Mn1 0.346 0.283 0.604
Mn2 0.348 0.283 0.112
P1 0.425 0.776 0.643
P2 0.428 0.780 0.143
C1 0.077 0.270 0.634
C2 0.078 0.276 0.135
O1 0.059 0.771 0.350
O2 0.061 0.776 0.856
O3 0.143 0.269 0.523
O4 0.146 0.283 0.024
O5 0.173 0.270 0.232
O6 0.178 0.274 0.731
O7 0.324 0.590 0.619
O8 0.330 0.965 0.608
O9 0.331 0.967 0.106
O10 0.333 0.593 0.104
O11 0.422 0.280 0.930
O12 0.428 0.265 0.429
O13 0.463 0.784 0.793
O14 0.467 0.785 0.290

# 6
# Fe4O3F5 | the Materials Project database | GGA+U | relaxed
# - ΔH_f (0 K): -2139 meV per atom
# - Density: 4.2 g/cm³
data_Fe4O3F5
_cell_length_a 6.208
_cell_length_b 7.037
_cell_length_c 6.559
_cell_angle_alpha 90.00
_cell_angle_beta 90.00
_cell_angle_gamma 90.00
_symmetry_space_group_name_H-M 'P m m n'
_symmetry_Int_Tables_number 59
loop_
_symmetry_equiv_pos_as_xyz
'x,y,z'
'-x,-y,-z'
'-x+1/2,-y+1/2,z'
'x+1/2,y+1/2,-z'
'x+1/2,-y,-z'
'-x+1/2,y,z'
'-x,y+1/2,-z'
'x,-y+1/2,z'
loop_
_atom_site_label
_atom_site_fract_x
_atom_site_fract_y
_atom_site_fract_z
Fe1 0.018 0.250 0.238
Fe2 0.250 0.250 0.737
Fe3 0.250 0.750 0.223
O1 0.250 0.250 0.043
O2 0.250 0.250 0.435
O3 0.250 0.750 0.936
F1 0.019 0.552 0.255
F2 0.250 0.750 0.542

Number 1: total magnetization 0.01 μB per formula unit. Number 2: total magnetization 21.69 μB per formula unit. Number 3: total magnetization 18.00 μB per formula unit. Number 4: total magnetization 1.00 μB per formula unit. Number 5: total magnetization 7.00 μB per formula unit. Number 6: total magnetization 19.00 μB per formula unit.